Record 1
A relaxed BaTi2Fe4O11 crystal, computed with GGA+U. Values from VASP.

Geometry as Quantum ESPRESSO input:
```
&SYSTEM
  ibrav = 0, nat = 36, ntyp = 4
/
ATOMIC_SPECIES
Ba 137.33 Ba.upf
Ti 47.87 Ti.upf
Fe 55.84 Fe.upf
O 16.00 O.upf
ATOMIC_POSITIONS crystal
Ba 0.1669 0.8331 0.7500
Ba 0.8331 0.1669 0.2500
Ti 0.0000 0.0000 0.0000
Ti 0.0000 0.0000 0.5000
Ti 0.0000 0.5000 0.0000
Ti 0.5000 0.0000 0.5000
Fe 0.0000 0.5000 0.5000
Fe 0.1665 0.8335 0.2500
Fe 0.4967 0.4983 0.8540
Fe 0.4983 0.4967 0.3540
Fe 0.5000 0.0000 0.0000
Fe 0.5017 0.5033 0.6460
Fe 0.5033 0.5017 0.1460
Fe 0.8335 0.1665 0.7500
O 0.1508 0.3176 0.4222
O 0.1508 0.3255 0.0776
O 0.1565 0.8281 0.0808
O 0.1719 0.8435 0.4192
O 0.2004 0.3500 0.7485
O 0.3174 0.6667 0.9222
O 0.3176 0.1508 0.9222
O 0.3255 0.1508 0.5776
O 0.3333 0.6826 0.5778
O 0.3500 0.2004 0.2485
O 0.3499 0.6501 0.2500
O 0.6501 0.3499 0.7500
O 0.6500 0.7996 0.7515
O 0.6667 0.3174 0.4222
O 0.6745 0.8492 0.4224
O 0.6824 0.8492 0.0778
O 0.6826 0.3333 0.0778
O 0.7996 0.6500 0.2515
O 0.8281 0.1565 0.5808
O 0.8435 0.1719 0.9192
O 0.8492 0.6745 0.9224
O 0.8492 0.6824 0.5778
CELL_PARAMETERS angstrom
2.9695 -5.1348 0.0000
2.9695 5.1348 0.0000
-0.0458 0.0000 13.6116
```

Output
- Symmetry: C2/c, No. 15
- V: 11.53 A^3/atom
- Total magnetic moment: 20.00 μB/f.u.
- Energy above the lowest structure with this stoichiometry: 0.05 eV/f.u.
- ΔH_f (0 K): -56.45 kcal/mol of atoms

Record 2
A relaxed CoO crystal, computed with GGA+U. Values from VASP.

Geometry as Quantum ESPRESSO input:
```
&SYSTEM
  ibrav = 0, nat = 80, ntyp = 2
/
ATOMIC_SPECIES
Co 58.93 Co.upf
O 16.00 O.upf
ATOMIC_POSITIONS crystal
Co 0.0000 0.0000 0.0000
Co 0.0023 0.8414 0.4280
Co 0.0449 0.5175 0.7915
Co 0.0682 0.1883 0.3242
Co 0.0707 0.7628 0.7187
Co 0.1007 0.7072 0.9539
Co 0.1587 0.4631 0.0886
Co 0.1659 0.0348 0.5864
Co 0.1807 0.9578 0.2240
Co 0.1978 0.2297 0.9075
Co 0.2112 0.4426 0.4335
Co 0.2700 0.9081 0.8574
Co 0.2758 0.6633 0.3251
Co 0.2911 0.2982 0.6388
Co 0.3006 0.6303 0.8013
Co 0.3340 0.7486 0.0787
Co 0.3748 0.2741 0.1989
Co 0.3998 0.1170 0.4188
Co 0.4046 0.5046 0.0050
Co 0.4462 0.8348 0.6267
Co 0.4525 0.0346 0.0611
Co 0.4745 0.8579 0.2914
Co 0.5001 0.0812 0.7756
Co 0.5187 0.5520 0.4881
Co 0.5293 0.3624 0.7215
Co 0.5719 0.5577 0.2041
Co 0.5981 0.7987 0.9456
Co 0.6455 0.2933 0.9972
Co 0.6708 0.9974 0.4636
Co 0.6716 0.5660 0.7599
Co 0.6899 0.3206 0.3273
Co 0.7165 0.0559 0.1970
Co 0.7551 0.7793 0.5824
Co 0.7785 0.8060 0.2119
Co 0.8187 0.5803 0.0035
Co 0.8772 0.5283 0.5293
Co 0.8835 0.0014 0.7142
Co 0.9167 0.4893 0.2417
Co 0.9266 0.2772 0.7503
Co 0.9421 0.2580 0.0800
O 0.0131 0.5867 0.0782
O 0.0186 0.4874 0.3991
O 0.0781 0.1338 0.1379
O 0.0971 0.0154 0.4094
O 0.1342 0.7839 0.2934
O 0.1505 0.3544 0.7537
O 0.1832 0.8673 0.0350
O 0.2382 0.8620 0.6690
O 0.2557 0.2740 0.3607
O 0.2995 0.5916 0.4938
O 0.3013 0.3443 0.0233
O 0.3143 0.5451 0.1720
O 0.3352 0.0835 0.9063
O 0.3554 0.1242 0.6132
O 0.3624 0.0601 0.2290
O 0.4530 0.3821 0.5595
O 0.4683 0.5107 0.8276
O 0.4722 0.9307 0.4611
O 0.4844 0.8849 0.8097
O 0.4910 0.6704 0.3380
O 0.5038 0.6506 0.0340
O 0.5593 0.3653 0.1734
O 0.5876 0.6760 0.6127
O 0.5929 0.8734 0.1339
O 0.6243 0.2339 0.8096
O 0.6264 0.1436 0.3500
O 0.6310 0.1167 0.0438
O 0.7039 0.4716 0.4383
O 0.7103 0.9609 0.6457
O 0.7526 0.6942 0.8684
O 0.7658 0.6254 0.1889
O 0.7929 0.8480 0.3930
O 0.8211 0.3908 0.0135
O 0.8636 0.4649 0.7140
O 0.8784 0.9400 0.1459
O 0.8932 0.2939 0.2532
O 0.9524 0.7123 0.5754
O 0.9886 0.1936 0.9181
O 0.9943 0.1346 0.6464
O 0.9985 0.9045 0.8389
CELL_PARAMETERS angstrom
9.4025 0.0000 0.0000
0.4872 10.2500 0.0000
0.0489 0.2153 10.3541
```

Output
- Symmetry: P1, No. 1
- V: 12.47 A^3/atom
- Total magnetic moment: 2.95 μB/f.u.
- ΔH_f (0 K): -20.18 kcal/mol of atoms

Record 3
A relaxed SrPrFeRuO6 crystal, computed with GGA+U. Values from VASP.

Geometry as Quantum ESPRESSO input:
```
&SYSTEM
  ibrav = 0, nat = 20, ntyp = 5
/
ATOMIC_SPECIES
Sr 87.62 Sr.upf
Pr 140.91 Pr.upf
Fe 55.84 Fe.upf
Ru 101.07 Ru.upf
O 16.00 O.upf
ATOMIC_POSITIONS crystal
Sr 0.0000 0.2221 0.0000
Sr 0.0000 0.7779 0.5000
Pr 0.4844 0.2928 0.5006
Pr 0.4844 0.7072 0.0006
Fe 0.7456 0.2461 0.2503
Fe 0.7456 0.7539 0.7503
Ru 0.2457 0.2479 0.7496
Ru 0.2457 0.7521 0.2496
O 0.0088 0.4748 0.7869
O 0.0088 0.5252 0.2869
O 0.0791 0.0377 0.2920
O 0.0791 0.9623 0.7920
O 0.4329 0.4758 0.2129
O 0.4329 0.5242 0.7129
O 0.4935 0.0392 0.7087
O 0.4935 0.9608 0.2087
O 0.5584 0.2698 0.9995
O 0.5584 0.7302 0.4995
O 0.9130 0.2401 0.5006
O 0.9130 0.7599 0.0006
CELL_PARAMETERS angstrom
5.5975 0.0000 0.0000
0.0000 5.6436 0.0000
-5.5942 0.0000 7.9260
```

Output
- Symmetry: Pc, No. 7
- V: 12.52 A^3/atom
- Total magnetic moment: 7.00 μB/f.u.
- ΔH_f (0 K): -57.11 kcal/mol of atoms

Record 4
A relaxed Li3FePCO7 crystal, computed with GGA+U. Values from VASP.

Geometry as Quantum ESPRESSO input:
```
&SYSTEM
  ibrav = 0, nat = 52, ntyp = 5
/
ATOMIC_SPECIES
Li 6.94 Li.upf
Fe 55.84 Fe.upf
P 30.97 P.upf
C 12.01 C.upf
O 16.00 O.upf
ATOMIC_POSITIONS crystal
Li 0.4705 0.5277 0.1118
Li 0.4706 0.0276 0.1120
Li 0.7808 0.6053 0.9630
Li 0.7808 0.1054 0.9628
Li 0.1284 0.2954 0.2627
Li 0.1279 0.7955 0.2629
Li 0.1230 0.8376 0.8121
Li 0.1234 0.3375 0.8120
Li 0.5410 0.3273 0.3452
Li 0.5410 0.8278 0.3451
Li 0.7104 0.8058 0.7296
Li 0.7103 0.3054 0.7297
Fe 0.8583 0.6384 0.3938
Fe 0.3930 0.4946 0.6810
Fe 0.8585 0.1386 0.3937
Fe 0.3928 0.9945 0.6810
P 0.3606 0.6260 0.4534
P 0.3606 0.1261 0.4534
P 0.8907 0.5071 0.6215
P 0.8907 0.0070 0.6214
C 0.3872 0.2153 0.0104
C 0.3872 0.7153 0.0105
C 0.8642 0.4177 0.0643
C 0.8643 0.9176 0.0643
O 0.7857 0.0440 0.1506
O 0.7854 0.5441 0.1502
O 0.4657 0.5888 0.9245
O 0.4657 0.0888 0.9242
O 0.9075 0.3156 0.1083
O 0.9075 0.8153 0.1081
O 0.3441 0.8174 0.9665
O 0.3442 0.3175 0.9666
O 0.3620 0.2305 0.1429
O 0.3616 0.7307 0.1430
O 0.8895 0.9025 0.9319
O 0.8898 0.4023 0.9318
O 0.1562 0.6538 0.3694
O 0.1565 0.1540 0.3691
O 0.0949 0.4792 0.7056
O 0.0947 0.9791 0.7057
O 0.5309 0.6246 0.3639
O 0.5308 0.1246 0.3640
O 0.7203 0.5085 0.7108
O 0.7205 0.0085 0.7108
O 0.3407 0.4671 0.4518
O 0.3407 0.9671 0.4521
O 0.9107 0.6660 0.6231
O 0.9105 0.1660 0.6227
O 0.8305 0.3818 0.4492
O 0.8306 0.8818 0.4490
O 0.4209 0.7513 0.6256
O 0.4207 0.2513 0.6258
CELL_PARAMETERS angstrom
6.2794 0.6821 2.0485
-2.6135 7.4884 5.8489
-2.0345 -9.2010 3.1892
```

Output
- V: 10.88 A^3/atom
- Total magnetic moment: 4.00 μB/f.u.
- Energy above the lowest structure with this stoichiometry: 0.00 eV/f.u.
- ΔH_f (0 K): -54.07 kcal/mol of atoms

Record 5
A relaxed Li6V3P8O29 crystal, computed with GGA+U. Values from VASP.

Geometry as Quantum ESPRESSO input:
```
&SYSTEM
  ibrav = 0, nat = 92, ntyp = 4
/
ATOMIC_SPECIES
Li 6.94 Li.upf
V 50.94 V.upf
P 30.97 P.upf
O 16.00 O.upf
ATOMIC_POSITIONS crystal
Li 0.0000 0.0000 0.0000
Li 0.0009 0.5777 0.5441
Li 0.0053 0.1286 0.4903
Li 0.0119 0.5676 0.0473
Li 0.1006 0.2233 0.8756
Li 0.2468 0.2216 0.3664
Li 0.3406 0.9000 0.9487
Li 0.3610 0.8517 0.4239
Li 0.4387 0.5597 0.4962
Li 0.5683 0.9990 0.4895
Li 0.5751 0.5618 0.0003
Li 0.6585 0.8102 0.8762
V 0.3353 0.4644 0.6907
V 0.3434 0.3362 0.1797
V 0.7706 0.9028 0.6874
V 0.7742 0.4619 0.1902
V 0.8996 0.3336 0.6834
V 0.9012 0.8958 0.1900
P 0.0006 0.5640 0.8052
P 0.0075 0.5596 0.3046
P 0.0235 0.1223 0.2769
P 0.0260 0.9828 0.7826
P 0.1128 0.2180 0.0934
P 0.1195 0.8115 0.5977
P 0.2468 0.2200 0.5892
P 0.2505 0.6854 0.0971
P 0.4162 0.1211 0.7761
P 0.4222 0.5858 0.2822
P 0.5574 0.9851 0.2762
P 0.5671 0.5833 0.7805
P 0.6469 0.6797 0.5953
P 0.6489 0.8073 0.0921
P 0.6668 0.2335 0.5653
P 0.6779 0.2298 0.0652
O 0.0011 0.1506 0.7703
O 0.0012 0.5587 0.9124
O 0.0010 0.9797 0.2739
O 0.0053 0.7080 0.2594
O 0.0089 0.4105 0.7654
O 0.0089 0.5582 0.4115
O 0.0785 0.2401 0.5907
O 0.0805 0.8231 0.0932
O 0.0998 0.9147 0.8769
O 0.1100 0.1281 0.0064
O 0.1116 0.1235 0.3655
O 0.1277 0.9093 0.5174
O 0.1327 0.1100 0.1854
O 0.1401 0.8816 0.6976
O 0.1442 0.5710 0.7601
O 0.1524 0.4106 0.2638
O 0.2289 0.3839 0.6057
O 0.2389 0.5319 0.1023
O 0.2522 0.2482 0.0914
O 0.2589 0.6420 0.5952
O 0.3206 0.7033 0.1966
O 0.3243 0.1006 0.8559
O 0.3336 0.1435 0.4985
O 0.3414 0.1049 0.6758
O 0.3499 0.6942 0.0172
O 0.3511 0.6663 0.3750
O 0.4131 0.2793 0.7711
O 0.4149 0.4336 0.2682
O 0.4163 0.1529 0.2686
O 0.4274 0.5558 0.7731
O 0.5212 0.3836 0.6085
O 0.5270 0.2341 0.1089
O 0.5424 0.6872 0.5156
O 0.5419 0.9099 0.3673
O 0.5432 0.8948 0.1843
O 0.5539 0.6996 0.6945
O 0.5619 0.8884 0.0022
O 0.5714 0.6614 0.8717
O 0.5872 0.9808 0.7746
O 0.5904 0.5549 0.2706
O 0.6600 0.0881 0.6078
O 0.6638 0.2354 0.4588
O 0.6735 0.6396 0.0958
O 0.6770 0.3794 0.1051
O 0.6772 0.8217 0.5929
O 0.6860 0.2277 0.9589
O 0.7148 0.9856 0.2675
O 0.7227 0.4277 0.7628
O 0.8108 0.5295 0.6032
O 0.8127 0.7967 0.1030
O 0.8217 0.2271 0.6037
O 0.8231 0.0798 0.1090
O 0.8462 0.7108 0.7682
O 0.8575 0.5619 0.2630
O 0.8653 0.2745 0.2658
O 0.8682 0.9826 0.7646
O 0.9611 0.3788 0.1034
O 0.9653 0.8009 0.6057
CELL_PARAMETERS angstrom
9.7506 0.0000 0.0000
4.8264 8.5339 0.0000
0.1283 0.1345 13.9928
```

Output
- Symmetry: P1, No. 1
- V: 12.66 A^3/atom
- Total magnetic moment: 3.00 μB/f.u.
- Energy above the lowest structure with this stoichiometry: 0.26 eV/f.u.
- ΔH_f (0 K): -61.27 kcal/mol of atoms

Record 6
A relaxed Li5Mn4P8O28 crystal, computed with GGA+U. Values from VASP.

Geometry as Quantum ESPRESSO input:
```
&SYSTEM
  ibrav = 0, nat = 90, ntyp = 4
/
ATOMIC_SPECIES
Li 6.94 Li.upf
Mn 54.94 Mn.upf
P 30.97 P.upf
O 16.00 O.upf
ATOMIC_POSITIONS crystal
Li 0.0000 0.0000 0.0000
Li 0.0063 0.5719 0.9737
Li 0.1190 0.2660 0.5035
Li 0.2045 0.7513 0.4954
Li 0.2981 0.0578 0.9777
Li 0.5017 0.7935 0.9028
Li 0.5110 0.2382 0.9322
Li 0.6109 0.5402 0.4081
Li 0.6890 0.0346 0.4033
Li 0.9810 0.9801 0.4965
Mn 0.1153 0.3872 0.7806
Mn 0.1840 0.8716 0.7847
Mn 0.3314 0.3462 0.2861
Mn 0.4775 0.9479 0.6237
Mn 0.6323 0.4339 0.1133
Mn 0.6954 0.9152 0.1198
Mn 0.8297 0.4515 0.6185
Mn 0.9864 0.8482 0.2795
P 0.0532 0.5207 0.3821
P 0.1141 0.2716 0.0710
P 0.2047 0.7648 0.0649
P 0.2626 0.0223 0.3902
P 0.3372 0.2057 0.7114
P 0.3508 0.6100 0.7081
P 0.4677 0.6863 0.1909
P 0.4738 0.0910 0.1966
P 0.5527 0.2776 0.5194
P 0.6166 0.5271 0.8334
P 0.6956 0.0325 0.8352
P 0.7492 0.7755 0.5340
P 0.8311 0.5865 0.1946
P 0.8461 0.1772 0.1963
P 0.9636 0.1223 0.7189
P 0.9778 0.7108 0.7037
O 0.0007 0.7241 0.8347
O 0.0045 0.1182 0.5891
O 0.0522 0.0368 0.8179
O 0.0645 0.3775 0.9587
O 0.0717 0.6698 0.3950
O 0.0785 0.8061 0.6223
O 0.0852 0.8432 0.1121
O 0.1233 0.9568 0.3758
O 0.1396 0.1321 0.0386
O 0.1711 0.6271 0.0368
O 0.1862 0.4431 0.3654
O 0.2148 0.2958 0.6559
O 0.2310 0.3312 0.1377
O 0.2476 0.5254 0.7996
O 0.2518 0.1715 0.4067
O 0.2788 0.8635 0.9586
O 0.3138 0.7427 0.1777
O 0.3190 0.6114 0.5774
O 0.3281 0.0560 0.6833
O 0.3382 0.0210 0.2615
O 0.3434 0.9265 0.4901
O 0.3461 0.2087 0.8452
O 0.3666 0.7551 0.7444
O 0.4629 0.0872 0.0630
O 0.4665 0.5410 0.1505
O 0.4702 0.3696 0.4172
O 0.4717 0.2742 0.6464
O 0.4818 0.2385 0.2270
O 0.4946 0.5296 0.7358
O 0.5094 0.6869 0.3188
O 0.5537 0.7852 0.0915
O 0.5685 0.1271 0.5067
O 0.5718 0.4192 0.9487
O 0.5802 0.9545 0.7783
O 0.5970 0.9999 0.2504
O 0.6095 0.8397 0.5518
O 0.6354 0.6650 0.8665
O 0.6583 0.1702 0.8609
O 0.6860 0.3528 0.5361
O 0.7134 0.4925 0.2584
O 0.7357 0.4640 0.7697
O 0.7402 0.6288 0.5099
O 0.7411 0.2644 0.1140
O 0.7574 0.9339 0.9478
O 0.8130 0.0542 0.7306
O 0.8186 0.7367 0.2144
O 0.8261 0.7649 0.6640
O 0.8279 0.1578 0.3313
O 0.8319 0.5641 0.0642
O 0.8325 0.8738 0.4390
O 0.8586 0.0317 0.1506
O 0.9525 0.2748 0.7424
O 0.9715 0.4305 0.4864
O 0.9707 0.5238 0.2566
O 0.9840 0.5570 0.6844
O 0.9915 0.2525 0.1698
CELL_PARAMETERS angstrom
9.7641 0.0000 0.0000
0.0409 9.8742 0.0000
0.0365 2.0130 10.9782
```

Output
- Symmetry: P1, No. 1
- V: 11.76 A^3/atom
- Total magnetic moment: 17.00 μB/f.u.
- Energy above the lowest structure with this stoichiometry: 0.00 eV/f.u.
- ΔH_f (0 K): -58.96 kcal/mol of atoms

Record 7
A relaxed MgSc2Cr2O8 crystal, computed with GGA+U. Values from VASP.

Geometry as Quantum ESPRESSO input:
```
&SYSTEM
  ibrav = 0, nat = 13, ntyp = 4
/
ATOMIC_SPECIES
Mg 24.30 Mg.upf
Sc 44.96 Sc.upf
Cr 52.00 Cr.upf
O 16.00 O.upf
ATOMIC_POSITIONS crystal
Mg 0.0000 0.0000 0.0000
Sc 0.5000 0.5000 0.0000
Sc 0.5000 0.5000 0.5000
Cr 0.1636 0.1636 0.6890
Cr 0.8364 0.8364 0.3110
O 0.2173 0.7366 0.2438
O 0.2634 0.7827 0.7562
O 0.2676 0.2676 0.9362
O 0.2693 0.2693 0.4781
O 0.7307 0.7307 0.5219
O 0.7324 0.7324 0.0638
O 0.7366 0.2173 0.2438
O 0.7827 0.2634 0.7562
CELL_PARAMETERS angstrom
4.4780 -2.8789 0.0000
4.4780 2.8789 0.0000
-0.5777 0.0000 6.3005
```

Output
- Symmetry: C2/m, No. 12
- V: 12.50 A^3/atom
- Total magnetic moment: 4.00 μB/f.u.
- Energy above the lowest structure with this stoichiometry: 2.27 eV/f.u.
- ΔH_f (0 K): -59.77 kcal/mol of atoms